[1]
Here is crystalline Lu2BeOs at its relaxed geometry from the Materials Project database. Energies are from PBE.

Computed properties:
Calculated density = 12.243 g/cm3
E = -6.19 eV per atom

a b c (Å): 6.6791 6.6791 6.6791
angles (deg): 90.00 90.00 90.00
With the nearest neighbours (Å) after each atom.
Space group Fm-3m (No. 225)
Inequivalent atoms, fractional coordinates:
Lu 0.2500 0.2500 0.2500 (multiplicity 8)  4 Os 2.89, 4 Be 2.89
Be 0.0000 0.0000 0.0000 (multiplicity 4)  8 Lu 2.89
Os 0.0000 0.0000 0.5000 (multiplicity 4)  8 Lu 2.89

=====

[2]
Here is crystalline CaZnSiO5 at its relaxed geometry from the Materials Project database. Energies are from PBE.

Computed properties:
Size of the total moment = 2.000 μB/f.u.
MP2020-corrected energy = -6.537 eV per atom
Calculated density = 3.275 g/cm3

a b c (Å): 5.0613 16.1879 5.4390
angles (deg): 90.00 103.56 90.00
With the nearest neighbours (Å) after each atom.
Space group Cc (No. 9)
Inequivalent atoms, fractional coordinates:
Ca 0.0000 0.0723 0.0000 (multiplicity 4)  6 O 2.29-2.57
Zn 0.3466 0.2517 0.1229 (multiplicity 4)  4 O 1.97-1.98
Si 0.3429 0.1378 0.6073 (multiplicity 4)  4 O 1.63-1.68
O 0.1734 0.3557 0.1951 (multiplicity 4)  1 Si 1.63
O 0.1737 0.4718 0.7732 (multiplicity 4)  2 Ca 2.44-2.57, 1 O 2.51
O 0.2146 0.2068 0.7787 (multiplicity 4)  1 Si 1.68
O 0.2232 0.1607 0.3094 (multiplicity 4)  1 Si 1.63
O 0.2289 0.0472 0.6749 (multiplicity 4)  1 Si 1.65

=====

[3]
Here is crystalline NaLiNbBiO6 at its relaxed geometry from the Materials Project database. Energies are from PBE.

Computed properties:
Size of the total moment = 0.000 μB/f.u.
MP2020-corrected energy = -6.741 eV per atom
Calculated density = 5.201 g/cm3

a b c (Å): 8.1753 8.1753 8.1753
angles (deg): 90.00 90.00 90.00
With the nearest neighbours (Å) after each atom.
Space group F-43m (No. 216)
Inequivalent atoms, fractional coordinates:
Na 0.0000 0.0000 0.0000 (multiplicity 4)  12 O 2.89
Li 0.0000 0.0000 0.5000 (multiplicity 4)  12 O 2.89
Nb 0.2500 0.2500 0.2500 (multiplicity 4)  6 O 1.99
Bi 0.2500 0.2500 0.7500 (multiplicity 4)  6 O 2.10
O 0.0064 0.2500 0.2500 (multiplicity 24)  1 Nb 1.99, 1 Bi 2.10

=====

[4]
Here is crystalline Hg2P2H4O9 at its relaxed geometry from the Materials Project database. Energies are from PBE.

Computed properties:
Size of the total moment = 0.001 μB/f.u.
MP2020-corrected energy = -5.810 eV per atom
Calculated density = 5.082 g/cm3

a b c (Å): 7.0446 7.5448 8.1076
angles (deg): 84.91 75.13 73.57
With the nearest neighbours (Å) after each atom.
Space group P-1 (No. 2)
Inequivalent atoms, fractional coordinates:
Hg 0.1893 0.2309 0.0213 (multiplicity 2)  3 O 2.23-2.40
Hg 0.2637 0.6358 0.2547 (multiplicity 2)  2 O 2.20-2.25
P 0.2226 0.5365 0.6881 (multiplicity 2)  4 O 1.53-1.64
P 0.3308 0.7955 0.8616 (multiplicity 2)  4 O 1.52-1.63
H 0.1666 0.2704 0.5141 (multiplicity 2)  1 O 0.99
H 0.1776 0.1030 0.6445 (multiplicity 2)  1 O 0.99
H 0.2013 0.0296 0.3702 (multiplicity 2)  1 O 1.00
H 0.4169 0.9752 0.2387 (multiplicity 2)  1 O 0.99
O 0.0077 0.4309 0.2276 (multiplicity 2)  1 P 1.55
O 0.1105 0.1632 0.5530 (multiplicity 2)  2 H 0.99
O 0.1644 0.7593 0.0180 (multiplicity 2)  1 P 1.55
O 0.2690 0.4865 0.5005 (multiplicity 2)  1 P 1.53
O 0.2722 0.9750 0.2549 (multiplicity 2)  2 H 0.99-1.00
O 0.2758 0.7325 0.6958 (multiplicity 2)  2 P 1.63-1.64
O 0.3122 0.0041 0.8225 (multiplicity 2)  1 P 1.55
O 0.3573 0.3902 0.7839 (multiplicity 2)  1 P 1.53
O 0.4539 0.3126 0.1306 (multiplicity 2)  1 P 1.52

=====

[5]
Here is crystalline SmZr4O9 at its relaxed geometry from the Materials Project database. Energies are from PBE.

Computed properties:
Size of the total moment = 0.002 μB/f.u.
MP2020-corrected energy = -9.627 eV per atom
Calculated density = 6.213 g/cm3

a b c (Å): 3.5676 18.8510 5.2395
angles (deg): 90.00 90.00 90.00
With the nearest neighbours (Å) after each atom.
Space group Imm2 (No. 44)
Inequivalent atoms, fractional coordinates:
Sm 0.0000 0.0000 0.0000 (multiplicity 2)  4 O 2.33-2.35
Zr 0.0000 0.1976 0.0286 (multiplicity 4)  8 O 2.15-2.33
Zr 0.0000 0.3908 0.0313 (multiplicity 4)  7 O 2.11-2.23
O 0.0000 0.0976 0.2785 (multiplicity 4)  3 Zr 2.23-2.30, 1 Sm 2.35
O 0.0000 0.1072 0.7779 (multiplicity 4)  3 Zr 2.15-2.20, 1 Sm 2.33
O 0.0000 0.2970 0.2761 (multiplicity 4)  4 Zr 2.18-2.28
O 0.0000 0.2994 0.7763 (multiplicity 4)  4 Zr 2.18-2.33
O 0.0000 0.5000 0.1184 (multiplicity 2)  2 Zr 2.11

=====

[6]
Here is crystalline VCo2Ni at its relaxed geometry from the Materials Project database. Energies are from PBE.

Computed properties:
Size of the total moment = 0.296 μB/f.u.
Calculated density = 8.620 g/cm3
E = -7.47 eV per atom

a b c (Å): 5.0127 5.0127 18.1251
angles (deg): 90.00 90.00 120.00
With the nearest neighbours (Å) after each atom.
Space group R-3m (No. 166, hexagonal axes)
Inequivalent atoms, fractional coordinates:
V 0.0000 0.0000 0.0000 (multiplicity 3)  6 Co 2.50, 6 Ni 2.51
V 0.0000 0.0000 0.2162 (multiplicity 6)  9 Co 2.41-2.51, 3 Ni 2.57
Co 0.0075 0.5038 0.2223 (multiplicity 18)  4 V 2.41-2.51, 6 Co 2.45-2.56, 2 Ni 2.47
Ni 0.0000 0.5000 0.0000 (multiplicity 9)  4 Co 2.47, 4 Ni 2.51, 4 V 2.51-2.57

=====

[7]
Here is crystalline LaTaTiO6 at its relaxed geometry from the Materials Project database. Energies are from PBE.

Computed properties:
MP2020-corrected energy = -9.697 eV per atom
Calculated density = 6.646 g/cm3

a b c (Å): 11.0879 5.4889 7.6151
angles (deg): 90.00 90.00 90.00
With the nearest neighbours (Å) after each atom.
Space group Pna2_1 (No. 33)
Inequivalent atoms, fractional coordinates:
La 0.0419 0.0443 0.0000 (multiplicity 4)  8 O 2.48-2.59
Ta 0.1437 0.5382 0.2561 (multiplicity 4)  5 O 1.91-2.03
Ti 0.1435 0.5353 0.7450 (multiplicity 4)  5 O 1.87-2.02
O 0.0265 0.2693 0.2868 (multiplicity 4)  1 Ta 1.98, 1 Ti 2.19
O 0.0259 0.2728 0.7157 (multiplicity 4)  1 Ti 1.96, 1 Ta 2.17
O 0.1242 0.6493 0.5030 (multiplicity 4)  1 Ti 1.96, 1 Ta 1.99
O 0.1435 0.4593 0.9998 (multiplicity 4)  1 Ti 1.98, 1 Ta 2.00
O 0.2103 0.8669 0.8050 (multiplicity 4)  1 Ta 1.91, 1 Ti 2.02
O 0.2122 0.8716 0.1973 (multiplicity 4)  1 Ti 1.87, 1 Ta 2.03

=====

[8]
Here is crystalline TlSbAu at its relaxed geometry from the Materials Project database. Energies are from PBE.

Computed properties:
Calculated density = 10.427 g/cm3
E = -3.35 eV per atom

a b c (Å): 6.7154 14.8544 6.6813
angles (deg): 90.00 90.00 90.00
With the nearest neighbours (Å) after each atom.
Space group Pna2_1 (No. 33)
Inequivalent atoms, fractional coordinates:
Tl 0.0832 0.2048 0.0000 (multiplicity 4)  3 Au 2.99-3.03, 1 Tl 3.28
Tl 0.1257 0.9664 0.2732 (multiplicity 4)  3 Au 2.97-3.06, 1 Tl 3.28
Sb 0.1064 0.4283 0.2660 (multiplicity 4)  3 Au 2.78-2.83, 1 Sb 2.91
Sb 0.1508 0.6809 0.0190 (multiplicity 4)  3 Au 2.76-2.84, 1 Sb 2.91
Au 0.0362 0.6085 0.3847 (multiplicity 4)  3 Sb 2.78-2.83, 3 Tl 2.99-3.06
Au 0.0366 0.8582 0.9089 (multiplicity 4)  3 Sb 2.76-2.84, 3 Tl 2.97-3.00